1.
The following is a PBE calculation of a geometry-optimized ZnS structure, from Materials Project.

Cell: 37.7845 37.7845 37.7845 Å, 5.88 5.88 5.88°
Closest atoms and distances in Å follow each position.
Atoms (fractional coordinates):
Zn 0.0834 0.0834 0.0834  4 S 2.35-2.37
Zn 0.5278 0.5278 0.5278  4 S 2.35-2.37
Zn 0.1667 0.1667 0.1667  4 S 2.35-2.37
Zn 0.3889 0.3889 0.3889  4 S 2.35-2.37
Zn 0.5834 0.5834 0.5834  4 S 2.35-2.37
Zn 0.7778 0.7778 0.7778  4 S 2.35-2.37
Zn 0.2778 0.2778 0.2778  4 S 2.35-2.38
Zn 0.0000 0.0000 0.0000  4 S 2.35-2.37
Zn 0.8889 0.8889 0.8889  4 S 2.36-2.37
Zn 0.6389 0.6389 0.6389  4 S 2.35-2.37
Zn 0.4722 0.4722 0.4722  4 S 2.35-2.37
Zn 0.6945 0.6945 0.6945  4 S 2.35-2.37
S 0.2986 0.2986 0.2986  4 Zn 2.35-2.37
S 0.7986 0.7986 0.7986  4 Zn 2.35-2.37
S 0.5486 0.5486 0.5486  4 Zn 2.35-2.37
S 0.4097 0.4097 0.4097  4 Zn 2.35-2.37
S 0.6597 0.6597 0.6597  4 Zn 2.35-2.37
S 0.6041 0.6041 0.6041  4 Zn 2.35-2.38
S 0.0208 0.0208 0.0208  4 Zn 2.35-2.37
S 0.4930 0.4930 0.4930  4 Zn 2.35-2.37
S 0.9097 0.9097 0.9097  4 Zn 2.36-2.37
S 0.1041 0.1041 0.1041  4 Zn 2.35-2.37
S 0.1875 0.1875 0.1875  4 Zn 2.35-2.37
S 0.7153 0.7153 0.7153  4 Zn 2.35-2.37

Output
Formation energy from the elements in eV/atom: -1.011
Symmetry: R3m
Spin magnetization in μB per cell: 0.0

---

2.
The following is a PBE calculation of a geometry-optimized ZnS structure, from Materials Project.

Cell: 3.8531 3.8531 75.5641 Å, 90.00 90.00 120.00°
Closest atoms and distances in Å follow each position.
Atoms (fractional coordinates):
Zn 0.0000 0.0000 0.5833  4 S 2.36
Zn 0.6667 0.3333 0.6667  4 S 2.36
Zn 0.0000 0.0000 0.3333  4 S 2.36
Zn 0.6667 0.3333 0.2917  4 S 2.36
Zn 0.3333 0.6667 0.3750  4 S 2.36
Zn 0.0000 0.0000 0.0833  4 S 2.36
Zn 0.3333 0.6667 0.8333  4 S 2.36
Zn 0.0000 0.0000 0.2083  4 S 2.36
Zn 0.3333 0.6667 0.7083  4 S 2.36
Zn 0.6667 0.3333 0.5417  4 S 2.36
Zn 0.6667 0.3333 0.0417  4 S 2.36
Zn 0.0000 0.0000 0.4583  4 S 2.36
Zn 0.3333 0.6667 0.1250  4 S 2.36
Zn 0.6667 0.3333 0.1667  4 S 2.36
Zn 0.6667 0.3333 0.4167  4 S 2.36
Zn 0.3333 0.6667 0.5000  4 S 2.36
Zn 0.6667 0.3333 0.7917  4 S 2.36
Zn 0.6667 0.3333 0.9583  4 S 2.36
Zn 0.3333 0.6667 0.2500  4 S 2.36
Zn 0.0000 0.0000 0.9167  4 S 2.36
Zn 0.0000 0.0000 0.7500  4 S 2.36
Zn 0.3333 0.6667 0.6250  4 S 2.36
Zn 0.6667 0.3333 0.8750  4 S 2.36
Zn 0.3333 0.6667 0.0000  4 S 2.36
S 0.6667 0.3333 0.1979  4 Zn 2.36
S 0.3333 0.6667 0.4062  4 Zn 2.36
S 0.3333 0.6667 0.5312  4 Zn 2.36
S 0.6667 0.3333 0.4479  4 Zn 2.36
S 0.0000 0.0000 0.2396  4 Zn 2.36
S 0.6667 0.3333 0.9896  4 Zn 2.36
S 0.3333 0.6667 0.7396  4 Zn 2.36
S 0.3333 0.6667 0.0313  4 Zn 2.36
S 0.3333 0.6667 0.8646  4 Zn 2.36
S 0.6667 0.3333 0.8229  4 Zn 2.36
S 0.0000 0.0000 0.6146  4 Zn 2.36
S 0.0000 0.0000 0.9479  4 Zn 2.36
S 0.3333 0.6667 0.1562  4 Zn 2.36
S 0.0000 0.0000 0.7812  4 Zn 2.36
S 0.6667 0.3333 0.6979  4 Zn 2.36
S 0.0000 0.0000 0.4896  4 Zn 2.36
S 0.3333 0.6667 0.6562  4 Zn 2.36
S 0.3333 0.6667 0.2812  4 Zn 2.36
S 0.0000 0.0000 0.3646  4 Zn 2.36
S 0.6667 0.3333 0.5729  4 Zn 2.36
S 0.6667 0.3333 0.0729  4 Zn 2.36
S 0.0000 0.0000 0.1146  4 Zn 2.36
S 0.6667 0.3333 0.9062  4 Zn 2.36
S 0.6667 0.3333 0.3229  4 Zn 2.36

Output
Formation energy from the elements in eV/atom: -1.062
Symmetry: P3m1

---

3.
The following is a PBE calculation of a geometry-optimized ZnS structure, from Materials Project.

Cell: 3.8520 3.8520 44.1029 Å, 90.00 90.00 120.00°
Closest atoms and distances in Å follow each position.
Atoms (fractional coordinates):
Zn 0.0000 0.0000 0.1429  4 S 2.36
Zn 0.3333 0.6667 0.2143  4 S 2.36
Zn 0.6667 0.3333 0.0714  4 S 2.36
Zn 0.0000 0.0000 0.7857  4 S 2.36
Zn 0.3333 0.6667 0.7143  4 S 2.36
Zn 0.0000 0.0000 0.6429  4 S 2.36
Zn 0.3333 0.6667 0.3572  4 S 2.36
Zn 0.3333 0.6667 0.0000  4 S 2.36
Zn 0.0000 0.0000 0.4286  4 S 2.36
Zn 0.0000 0.0000 0.9286  4 S 2.36
Zn 0.6667 0.3333 0.2857  4 S 2.36
Zn 0.6667 0.3333 0.5000  4 S 2.36
Zn 0.3333 0.6667 0.5714  4 S 2.36
Zn 0.3333 0.6667 0.8571  4 S 2.36
S 0.3333 0.6667 0.7678  4 Zn 2.36
S 0.0000 0.0000 0.9822  4 Zn 2.36
S 0.0000 0.0000 0.1964  4 Zn 2.36
S 0.6667 0.3333 0.3393  4 Zn 2.36
S 0.0000 0.0000 0.6964  4 Zn 2.36
S 0.3333 0.6667 0.4107  4 Zn 2.36
S 0.3333 0.6667 0.9107  4 Zn 2.36
S 0.3333 0.6667 0.2678  4 Zn 2.36
S 0.6667 0.3333 0.5536  4 Zn 2.36
S 0.0000 0.0000 0.8393  4 Zn 2.36
S 0.3333 0.6667 0.0536  4 Zn 2.36
S 0.0000 0.0000 0.4821  4 Zn 2.36
S 0.3333 0.6667 0.6250  4 Zn 2.36
S 0.6667 0.3333 0.1250  4 Zn 2.36

Output
Formation energy from the elements in eV/atom: -1.062
Symmetry: P3m1

---

4.
The following is a PBE calculation of a geometry-optimized ZnS structure, from Materials Project.

Cell: 13.2431 13.7667 13.1034 Å, 84.20 81.12 83.93°
Closest atoms and distances in Å follow each position.
Atoms (fractional coordinates):
Zn 0.4793 0.5652 0.7622  3 S 2.26-2.40
Zn 0.4415 0.1275 0.7981  1 S 2.45, 2 Zn 2.52-2.57
Zn 0.6299 0.3352 0.8500  4 S 2.30-2.47
Zn 0.4885 0.0911 0.6109  1 S 2.51, 5 Zn 2.52-2.66
Zn 0.0221 0.9039 0.3243  2 S 2.34-2.36
Zn 0.8756 0.6263 0.5117  3 S 2.23-2.36
Zn 0.9881 0.1290 0.9465  2 S 2.37-2.46, 1 Zn 2.54
Zn 0.6965 0.7152 0.9911  3 S 2.26-2.36
Zn 0.0146 0.3408 0.9636  3 S 2.23-2.34
Zn 0.1314 0.1687 0.7756  2 S 2.40-2.50, 1 Zn 2.55
Zn 0.5595 0.3256 0.3372  3 S 2.33-2.40
Zn 0.7076 0.5139 0.8819  4 S 2.33-2.49
Zn 0.4730 0.0094 0.0128  1 S 2.34, 1 Zn 2.43
Zn 0.0072 0.1478 0.2083  3 S 2.21-2.43
Zn 0.1348 0.6707 0.3921  4 S 2.33-2.41
Zn 0.6175 0.3187 0.1274  2 S 2.35-2.40, 1 Zn 2.48
Zn 0.3617 0.2512 0.5793  3 S 2.34-2.47, 1 Zn 2.47
Zn 0.8376 0.9965 0.2606  3 S 2.31-2.55, 1 Zn 2.58
Zn 0.6394 0.0150 0.0678  2 S 2.23-2.38, 1 Zn 2.43
Zn 0.0569 0.9536 0.6422  4 S 2.29-2.51
Zn 0.3694 0.7890 0.3874  3 S 2.25-2.33
Zn 0.6039 0.8884 0.2900  3 S 2.24-2.34
Zn 0.9253 0.0875 0.4745  3 S 2.23-2.32
Zn 0.5229 0.9205 0.5496  2 S 2.37-2.53, 1 Zn 2.53
Zn 0.2540 0.3023 0.3456  3 S 2.30-2.39
Zn 0.1792 0.0890 0.9480  2 S 2.27-2.39, 1 Zn 2.54
Zn 0.0353 0.7981 0.9072  3 S 2.31-2.40
Zn 0.6826 0.4634 0.6413  3 S 2.25-2.29
Zn 0.5427 0.2714 0.5908  2 S 2.30-2.52, 1 Zn 2.47
Zn 0.6248 0.9489 0.8705  2 S 2.40-2.44, 2 Zn 2.42-2.65
Zn 0.2734 0.6949 0.1841  3 S 2.27-2.41
Zn 0.2122 0.6666 0.6739  3 S 2.25-2.30
Zn 0.4997 0.9508 0.7535  1 S 2.31, 3 Zn 2.42-2.57
Zn 0.8069 0.4435 0.1502  4 S 2.30-2.48
Zn 0.4642 0.2385 0.2151  1 S 2.30, 1 Zn 2.48
Zn 0.7336 0.7092 0.6745  3 S 2.32-2.38
Zn 0.7651 0.4133 0.3834  4 S 2.31-2.54
Zn 0.9510 0.4693 0.7044  2 S 2.38-2.46, 1 Zn 2.64
Zn 0.1309 0.4282 0.5839  3 S 2.32-2.45, 1 Zn 2.49
Zn 0.6110 0.5513 0.1012  4 S 2.31-2.57
Zn 0.3353 0.5315 0.4107  4 S 2.33-2.48
Zn 0.9907 0.3203 0.5881  2 S 2.37-2.40, 2 Zn 2.49-2.64
Zn 0.2417 0.4288 0.8144  4 S 2.36-2.54
Zn 0.8378 0.8493 0.3987  1 S 2.38, 2 Zn 2.58-2.64
Zn 0.2703 0.2144 0.1117  4 S 2.25-2.38
Zn 0.6138 0.6606 0.4076  3 S 2.31-2.40
Zn 0.0325 0.5266 0.2885  4 S 2.35-2.58
Zn 0.1391 0.5270 0.0004  4 S 2.27-2.52
Zn 0.3054 0.8190 0.9740  2 S 2.13-2.18
Zn 0.2566 0.9028 0.7445  4 S 2.26-2.47
S 0.6101 0.6459 0.8013  3 Zn 2.30-2.37
S 0.8693 0.1464 0.3267  3 Zn 2.21-2.42
S 0.4546 0.9208 0.3928  3 Zn 2.24-2.37
S 0.8690 0.8693 0.9444  1 S 2.12, 1 Zn 2.31
S 0.3202 0.3643 0.1201  1 S 2.10, 1 Zn 2.25
S 0.3187 0.1596 0.2725  3 Zn 2.30-2.33
S 0.6370 0.4679 0.2583  4 Zn 2.31-2.54
S 0.1062 0.7032 0.0427  1 S 2.15, 1 Zn 2.35
S 0.5888 0.1801 0.9140  1 S 2.12, 1 Zn 2.30
S 0.1880 0.5825 0.5415  4 Zn 2.26-2.48
S 0.4162 0.8304 0.6996  2 Zn 2.26-2.31
S 0.7220 0.0800 0.9049  1 S 2.12
S 0.3867 0.3627 0.4194  4 Zn 2.35-2.47
S 0.1833 0.9200 0.9198  3 Zn 2.18-2.39
S 0.3063 0.5840 0.7892  3 Zn 2.25-2.36
S 0.6947 0.7984 0.5180  2 Zn 2.38
S 0.0849 0.9862 0.1655  1 S 2.12, 1 Zn 2.34
S 0.9180 0.4119 0.2707  3 Zn 2.30-2.35
S 0.3383 0.1229 0.9706  4 Zn 2.27-2.45
S 0.9648 0.6829 0.3628  3 Zn 2.23-2.47
S 0.8653 0.2671 0.9538  1 S 2.10, 1 Zn 2.34
S 0.7623 0.8206 0.8597  1 S 2.12, 1 Zn 2.26
S 0.9606 0.0823 0.7366  1 S 2.10
S 0.0097 0.5923 0.1147  1 S 2.15, 1 Zn 2.27
S 0.5659 0.4353 0.9972  4 Zn 2.35-2.49
S 0.2007 0.0574 0.6479  1 S 2.10
S 0.6750 0.2804 0.4547  3 Zn 2.30-2.33
S 0.0999 0.3659 0.4300  3 Zn 2.30-2.40
S 0.7854 0.4017 0.7626  4 Zn 2.29-2.46
S 0.7329 0.5459 0.4878  4 Zn 2.25-2.40
S 0.7994 0.2743 0.1098  1 S 2.10
S 0.7948 0.5634 0.0059  4 Zn 2.33-2.57
S 0.6829 0.7349 0.2453  1 S 2.21, 2 Zn 2.34-2.36
S 0.4410 0.6425 0.4519  3 Zn 2.28-2.33
S 0.2175 0.8079 0.3152  3 Zn 2.33-2.41
S 0.0974 0.2339 0.0782  3 Zn 2.24-2.38
S 0.5711 0.7226 0.1396  1 S 2.21, 2 Zn 2.36-2.45
S 0.2250 0.3129 0.6978  4 Zn 2.34-2.50
S 0.9023 0.1769 0.6186  1 S 2.10, 1 Zn 2.32
S 0.9553 0.9983 0.0866  1 S 2.12
S 0.2237 0.5525 0.2775  4 Zn 2.30-2.58
S 0.1153 0.8051 0.7293  4 Zn 2.30-2.46
S 0.3239 0.0981 0.5367  1 S 2.10
S 0.6704 0.0321 0.2275  3 Zn 2.23-2.31
S 0.9026 0.6398 0.6741  3 Zn 2.24-2.38
S 0.5318 0.4012 0.7154  4 Zn 2.29-2.52
S 0.0599 0.4725 0.8602  3 Zn 2.23-2.47
S 0.9826 0.9283 0.5020  3 Zn 2.25-2.36
S 0.3030 0.4545 0.9833  1 S 2.10, 1 Zn 2.28
S 0.3970 0.7014 0.0433  2 Zn 2.13-2.27

Output
Formation energy from the elements in eV/atom: -0.613
Symmetry: P1
Spin magnetization in μB per cell: 0.0